Zr3ZnSiS5O24 (PBE, optimized geometry); total magnetic moment = 0.00 μB/atom; DFT total energy = -720.291 eV per cell
1.0
8.968 0.000 0.000
4.480 7.777 0.000
0.072 0.050 23.066
Zr Zn Si S O
9 3 3 15 72
Cartesian
0.000 0.000 0.000
9.053 0.098 16.450
9.060 0.145 4.899
4.461 2.654 8.693
4.639 2.707 20.392
8.945 5.322 1.043
9.046 5.378 19.355
9.039 5.279 12.641
9.056 5.215 7.666
9.047 0.100 11.653
4.439 2.697 3.925
4.566 2.697 15.491
1.993 2.662 6.237
6.489 5.314 21.717
10.370 7.542 21.711
3.246 5.556 2.502
1.421 2.322 13.992
3.276 4.916 17.812
5.815 5.604 13.992
2.668 0.121 2.485
5.823 4.907 6.290
3.299 0.471 17.811
7.697 7.518 10.185
7.157 2.714 17.810
5.833 0.441 6.291
7.756 2.990 10.186
7.659 2.335 2.491
6.460 0.147 13.991
10.360 3.055 21.705
11.652 5.319 10.185
0.996 1.368 6.103
3.884 6.296 17.607
3.835 6.239 1.301
1.154 1.510 12.804
2.842 2.909 21.487
3.518 4.112 16.617
3.521 4.099 9.992
2.902 2.949 5.000
3.902 4.354 19.021
2.842 2.515 14.227
3.875 4.265 2.646
2.889 2.444 7.629
1.807 0.295 17.610
5.223 6.253 6.138
1.797 0.292 1.303
5.245 6.236 12.803
5.578 6.623 21.932
6.269 7.681 10.393
6.265 7.637 3.680
5.631 6.491 15.199
3.477 1.289 19.020
5.239 4.291 7.530
5.276 4.275 14.228
3.526 1.261 2.666
5.535 4.032 21.458
3.886 1.065 16.618
3.888 1.067 10.008
5.665 4.081 5.121
7.971 6.688 8.991
7.956 6.652 2.344
7.321 5.490 13.798
7.409 5.518 20.387
7.285 5.100 6.563
8.343 6.892 17.993
8.358 6.871 11.377
5.201 1.202 21.452
7.431 5.027 23.007
6.296 2.890 9.984
6.333 2.914 16.623
5.227 1.013 5.119
6.236 2.471 2.716
5.583 1.283 14.229
5.625 1.274 7.529
6.344 2.452 19.020
9.700 6.840 23.007
8.009 3.892 11.373
9.717 6.874 6.563
8.058 3.853 18.018
10.089 6.677 13.796
8.352 3.661 8.990
8.337 3.641 2.328
10.136 6.610 20.389
7.291 0.321 12.802
7.947 1.491 1.306
7.297 0.253 6.143
8.032 1.488 17.612
8.321 1.673 3.688
8.361 1.684 10.385
11.803 7.651 15.200
11.952 7.744 21.925
9.734 3.683 13.796
10.776 5.497 8.993
9.753 3.653 20.492
10.751 5.440 2.302
9.981 3.947 6.595
10.765 5.064 11.372
10.798 5.099 18.005
10.162 3.893 22.901
9.720 1.716 15.202
12.447 6.449 3.680
9.773 1.725 21.899
12.492 6.484 10.382


Sm10S14O (PBE, optimized geometry); total magnetic moment = 0.00 μB/atom; DFT total energy = -656.541 eV per cell
1.0
-7.479 7.479 9.917
7.479 -7.479 9.917
7.479 7.479 -9.917
Sm S O
40 56 4
Cartesian
9.500 -1.719 2.479
5.571 -0.409 0.928
7.576 5.712 -6.101
13.050 0.409 0.928
4.148 -1.831 4.030
4.148 5.648 -4.030
1.973 3.643 -1.142
7.576 -1.767 6.101
5.506 -3.643 8.775
2.021 1.719 2.479
2.021 -1.719 7.438
5.506 3.643 1.142
7.576 1.767 3.816
9.452 3.836 1.142
11.627 1.831 4.030
4.148 1.831 5.887
0.097 1.767 6.101
5.571 7.070 -0.928
5.571 0.409 8.989
2.021 9.198 -2.479
5.458 -1.719 12.397
1.908 7.070 0.928
1.908 0.409 10.845
7.382 5.712 3.816
3.331 5.648 4.030
-4.148 5.648 5.887
-1.973 3.643 8.775
-0.097 5.712 6.101
1.973 3.836 8.775
5.458 9.198 2.479
5.458 5.760 7.438
1.973 11.122 1.142
-0.097 9.246 3.816
5.506 3.836 11.060
3.331 1.831 13.948
3.331 9.310 5.887
-5.571 7.070 8.989
-0.097 1.767 16.018
1.908 7.888 8.989
-2.021 9.198 7.438
2.330 -1.093 1.853
9.464 -3.368 4.879
9.464 4.111 -4.879
12.312 -1.409 3.106
3.740 1.518 0.000
6.908 -1.052 3.402
7.107 1.754 -0.080
0.372 1.754 0.080
10.167 3.169 -1.557
9.809 1.093 1.853
4.791 4.310 -1.557
-0.571 1.052 3.402
4.833 -1.409 6.811
2.222 0.000 4.959
9.701 0.000 4.959
4.833 1.409 3.106
6.908 6.427 -3.402
4.791 -4.310 11.474
2.330 6.386 -1.853
2.688 4.310 1.557
7.851 5.725 -0.080
7.107 -1.754 9.997
3.740 -1.518 9.917
6.908 1.052 6.515
4.833 8.888 -3.106
1.985 3.368 4.879
9.464 3.368 5.038
2.330 1.093 8.064
5.149 6.386 1.853
-1.985 4.111 4.879
5.494 4.111 5.038
2.646 -1.409 13.023
0.571 6.427 3.402
3.740 8.997 0.000
0.372 9.233 -0.080
-0.372 1.754 9.997
4.791 3.169 8.361
5.149 1.093 11.770
2.688 11.789 -1.557
0.571 1.052 13.319
2.646 6.070 6.811
-2.222 7.479 4.959
5.258 7.479 4.959
2.646 8.888 3.106
8.050 6.427 6.515
2.688 3.169 11.474
-2.330 6.386 8.064
-2.688 4.310 11.474
7.107 5.725 9.838
0.372 5.725 9.997
0.571 8.531 6.515
3.740 5.961 9.917
-4.833 8.888 6.811
-1.985 3.368 14.796
-1.985 10.847 5.038
5.149 8.572 8.064
7.479 -3.740 7.438
7.479 3.740 2.479
0.000 3.740 7.438
0.000 11.219 2.479


SmSO4 (PBE, optimized geometry); total magnetic moment = 0.16 μB/atom; DFT total energy = -157.456 eV per cell
1.0
7.997 0.000 0.000
0.000 5.885 0.000
0.000 0.000 6.741
Sm S O
4 4 16
Cartesian
1.356 1.471 1.028
2.642 4.414 4.398
5.355 1.471 2.342
6.641 4.414 5.713
0.438 1.471 4.537
3.561 4.414 1.167
4.437 1.471 5.574
7.559 4.414 2.204
0.638 0.232 5.394
0.638 2.711 5.394
0.935 4.414 2.747
1.452 1.471 3.449
2.546 4.414 0.079
3.063 1.471 6.117
3.361 3.174 2.023
3.361 5.653 2.023
4.636 0.232 4.717
4.636 2.711 4.717
4.934 4.414 0.623
5.451 1.471 6.662
6.545 4.414 3.292
7.062 1.471 3.994
7.359 3.174 1.347
7.359 5.653 1.347


SnS2O8 (PBE, optimized geometry); DFT total energy = -530.639 eV per cell
1.0
9.135 0.000 0.000
0.000 13.805 0.000
0.000 0.000 9.334
Sn S O
8 16 64
Cartesian
0.939 1.735 1.308
0.939 5.167 5.975
3.628 8.638 1.308
3.628 12.070 5.975
5.507 1.735 3.359
5.507 5.167 8.025
8.196 8.638 3.359
8.196 12.070 8.025
0.609 9.982 0.689
0.609 10.725 5.356
1.724 0.177 7.826
1.724 6.726 3.159
2.843 7.079 7.826
2.843 13.628 3.159
3.959 3.080 0.689
3.959 3.823 5.356
5.176 9.982 3.978
5.176 10.725 8.645
6.292 0.177 6.175
6.292 6.726 1.508
7.411 7.079 6.175
7.411 13.628 1.508
8.526 3.080 3.978
8.526 3.823 8.645
0.051 8.970 9.188
0.051 11.737 4.521
0.115 9.962 2.127
0.115 10.745 6.794
0.282 7.046 2.802
0.282 13.661 7.468
0.301 9.304 4.886
0.301 11.403 0.219
1.804 0.333 9.328
1.804 6.569 4.661
2.095 1.129 2.909
2.095 5.773 7.576
2.129 9.992 0.759
2.129 10.715 5.426
2.202 1.300 7.094
2.202 5.602 2.427
2.365 8.203 7.094
2.365 12.504 2.427
2.439 3.090 0.759
2.439 3.813 5.426
2.473 8.032 2.909
2.473 12.676 7.576
2.764 7.235 9.328
2.764 13.472 4.661
4.267 2.402 4.886
4.267 4.500 0.219
4.285 0.144 2.802
4.285 6.759 7.468
4.452 3.060 2.127
4.452 3.843 6.794
4.517 2.067 9.188
4.517 4.835 4.521
4.618 8.970 4.813
4.618 11.737 0.146
4.683 9.962 2.540
4.683 10.745 7.207
4.850 7.046 1.865
4.850 13.661 6.532
4.868 9.304 9.115
4.868 11.403 4.448
6.371 0.333 4.673
6.371 6.569 0.006
6.662 1.129 1.758
6.662 5.773 6.425
6.696 9.992 3.908
6.696 10.715 8.575
6.770 1.300 6.907
6.770 5.602 2.240
6.933 8.203 6.907
6.933 12.504 2.240
7.007 3.090 3.908
7.007 3.813 8.575
7.040 8.032 1.758
7.040 12.676 6.425
7.331 7.235 4.673
7.331 13.472 0.006
8.834 2.402 9.115
8.834 4.500 4.448
8.853 0.144 1.865
8.853 6.759 6.532
9.020 3.060 2.540
9.020 3.843 7.207
9.084 2.067 4.813
9.084 4.835 0.146


Sn7S2O20 (PBE, optimized geometry); total magnetic moment = 0.00 μB/atom; DFT total energy = -685.895 eV per cell
1.0
13.036 0.000 0.000
0.000 13.066 0.000
0.000 0.000 13.238
Sn S O
28 8 80
Cartesian
0.000 0.000 0.000
0.000 6.533 6.619
0.887 1.160 3.281
0.887 5.373 9.899
1.163 9.749 7.521
1.163 9.851 0.903
3.214 0.902 12.065
3.214 5.632 5.446
3.304 7.435 12.065
3.304 12.165 5.446
5.355 3.216 7.521
5.355 3.318 0.903
5.631 7.694 3.281
5.631 11.906 9.899
6.518 0.000 6.619
6.518 6.533 0.000
7.406 1.160 3.338
7.406 5.373 9.957
7.681 9.749 12.335
7.681 9.851 5.716
9.732 0.902 7.791
9.732 5.632 1.173
9.822 7.435 7.791
9.822 12.165 1.173
11.873 3.216 12.335
11.873 3.318 5.716
12.149 7.694 3.338
12.149 11.906 9.957
2.512 2.504 9.171
2.512 4.030 2.552
4.006 9.037 9.171
4.006 10.563 2.552
9.030 2.504 10.686
9.030 4.030 4.067
10.524 9.037 10.686
10.524 10.563 4.067
0.052 6.549 4.549
0.052 13.051 11.168
0.088 2.067 13.224
0.088 4.466 6.606
0.171 8.791 2.175
0.171 10.809 8.793
1.694 1.690 8.328
1.694 4.843 1.709
2.073 6.653 6.601
2.073 12.947 13.219
2.107 0.063 4.296
2.107 6.470 10.915
2.204 2.544 2.429
2.204 3.989 9.048
2.355 2.180 10.645
2.355 4.353 4.027
2.371 8.792 13.082
2.371 10.808 6.463
2.522 8.906 8.874
2.522 10.694 2.255
3.996 2.372 8.874
3.996 4.161 2.255
4.147 2.258 13.082
4.147 4.275 6.463
4.163 8.713 10.645
4.163 10.887 4.027
4.314 9.077 2.429
4.314 10.522 9.048
4.411 6.597 4.296
4.411 13.003 10.915
4.445 0.120 6.601
4.445 6.414 13.219
4.824 8.223 8.328
4.824 11.376 1.709
6.348 2.257 2.175
6.348 4.276 8.793
6.430 8.600 13.224
6.430 11.000 6.606
6.466 0.015 4.549
6.466 6.518 11.168
6.570 6.549 2.070
6.570 13.051 8.688
6.606 2.067 6.632
6.606 4.466 0.013
6.689 8.791 4.444
6.689 10.809 11.063
8.212 1.690 11.529
8.212 4.843 4.910
8.591 6.653 0.018
8.591 12.947 6.637
8.625 0.063 2.323
8.625 6.470 8.941
8.722 2.544 4.190
8.722 3.989 10.808
8.873 2.180 9.211
8.873 4.353 2.592
8.889 8.792 6.774
8.889 10.808 0.155
9.040 8.906 10.982
9.040 10.694 4.363
10.514 2.372 10.982
10.514 4.161 4.363
10.665 2.258 6.774
10.665 4.275 0.155
10.681 8.713 9.211
10.681 10.887 2.592
10.832 9.077 4.190
10.832 10.522 10.808
10.929 6.597 2.323
10.929 13.003 8.941
10.963 0.120 0.018
10.963 6.414 6.637
11.342 8.223 11.529
11.342 11.376 4.910
12.866 2.257 4.444
12.866 4.276 11.063
12.948 8.600 6.632
12.948 11.000 0.013
12.984 0.015 2.070
12.984 6.518 8.688